A) # GGA+U Li3Fe8B8O24, optimized geometry
# Spin magnetization ... 37.0 Bohr magnetons per cell
data_Li3Fe8B8O24
_chemical_formula_sum 'Li3 Fe8 B8 O24'
_cell_length_a 5.246
_cell_length_b 9.153
_cell_length_c 10.024
_cell_angle_alpha 88.61
_cell_angle_beta 89.32
_cell_angle_gamma 88.74
_symmetry_space_group_name_H-M 'P 1'
_symmetry_Int_Tables_number 1
loop_
_symmetry_equiv_pos_as_xyz
'x,y,z'
loop_
_atom_site_label
_atom_site_type_symbol
_atom_site_fract_x
_atom_site_fract_y
_atom_site_fract_z
_atom_site_occupancy
Li1 Li 0.000 0.000 0.000 1
Li2 Li 0.004 0.997 0.497 1
Li3 Li 0.501 0.501 0.992 1
Fe1 Fe 0.025 0.333 0.963 1
Fe2 Fe 0.338 0.674 0.714 1
Fe3 Fe 0.351 0.010 0.216 1
Fe4 Fe 0.490 0.193 0.462 1
Fe5 Fe 0.520 0.832 0.960 1
Fe6 Fe 0.837 0.506 0.218 1
Fe7 Fe 0.838 0.177 0.716 1
Fe8 Fe 0.999 0.661 0.463 1
B1 B 0.012 0.673 0.965 1
B2 B 0.334 0.673 0.213 1
B3 B 0.342 0.004 0.709 1
B4 B 0.499 0.842 0.464 1
B5 B 0.516 0.171 0.964 1
B6 B 0.839 0.174 0.212 1
B7 B 0.840 0.503 0.714 1
B8 B 0.999 0.344 0.462 1
O1 O 0.082 0.021 0.698 1
O2 O 0.084 0.659 0.265 1
O3 O 0.251 0.354 0.457 1
O4 O 0.265 0.656 0.919 1
O5 O 0.347 0.726 0.510 1
O6 O 0.368 0.969 0.421 1
O7 O 0.388 0.044 0.007 1
O8 O 0.398 0.304 0.964 1
O9 O 0.419 0.809 0.173 1
O10 O 0.446 0.870 0.752 1
O11 O 0.484 0.551 0.196 1
O12 O 0.501 0.118 0.673 1
O13 O 0.587 0.162 0.251 1
O14 O 0.587 0.527 0.728 1
O15 O 0.762 0.829 0.462 1
O16 O 0.774 0.155 0.922 1
O17 O 0.846 0.470 0.421 1
O18 O 0.871 0.218 0.507 1
O19 O 0.889 0.545 0.012 1
O20 O 0.893 0.806 0.965 1
O21 O 0.931 0.310 0.173 1
O22 O 0.952 0.371 0.754 1
O23 O 0.995 0.051 0.205 1
O24 O 0.999 0.612 0.660 1

=====

B) # GGA+U Li3Fe8B8O24, optimized geometry
# Spin magnetization ... 37.0 Bohr magnetons per cell
data_Li3Fe8B8O24
_chemical_formula_sum 'Li3 Fe8 B8 O24'
_cell_length_a 5.276
_cell_length_b 9.124
_cell_length_c 11.351
_cell_angle_alpha 113.47
_cell_angle_beta 102.54
_cell_angle_gamma 90.65
_symmetry_space_group_name_H-M 'P 1'
_symmetry_Int_Tables_number 1
loop_
_symmetry_equiv_pos_as_xyz
'x,y,z'
loop_
_atom_site_label
_atom_site_type_symbol
_atom_site_fract_x
_atom_site_fract_y
_atom_site_fract_z
_atom_site_occupancy
Li1 Li 0.000 0.000 0.000 1
Li2 Li 0.216 0.238 0.503 1
Li3 Li 0.709 0.739 0.498 1
Fe1 Fe 0.003 0.668 0.032 1
Fe2 Fe 0.217 0.215 0.784 1
Fe3 Fe 0.232 0.586 0.537 1
Fe4 Fe 0.475 0.126 0.282 1
Fe5 Fe 0.520 0.187 0.032 1
Fe6 Fe 0.709 0.703 0.778 1
Fe7 Fe 0.733 0.084 0.536 1
Fe8 Fe 0.971 0.624 0.284 1
B1 B 0.022 0.336 0.033 1
B2 B 0.221 0.882 0.788 1
B3 B 0.243 0.921 0.534 1
B4 B 0.464 0.462 0.289 1
B5 B 0.498 0.842 0.034 1
B6 B 0.713 0.379 0.783 1
B7 B 0.748 0.417 0.532 1
B8 B 0.963 0.959 0.284 1
O1 O 0.002 0.410 0.530 1
O2 O 0.019 0.799 0.229 1
O3 O 0.073 0.778 0.489 1
O4 O 0.138 0.082 0.303 1
O5 O 0.139 0.068 0.576 1
O6 O 0.231 0.496 0.329 1
O7 O 0.239 0.322 0.980 1
O8 O 0.341 0.032 0.821 1
O9 O 0.346 0.715 0.025 1
O10 O 0.352 0.748 0.740 1
O11 O 0.413 0.995 0.079 1
O12 O 0.454 0.361 0.773 1
O13 O 0.499 0.911 0.532 1
O14 O 0.522 0.306 0.238 1
O15 O 0.575 0.277 0.486 1
O16 O 0.637 0.587 0.309 1
O17 O 0.647 0.568 0.581 1
O18 O 0.731 0.991 0.322 1
O19 O 0.740 0.823 0.996 1
O20 O 0.845 0.537 0.835 1
O21 O 0.853 0.250 0.739 1
O22 O 0.893 0.209 0.036 1
O23 O 0.939 0.492 0.085 1
O24 O 0.974 0.864 0.806 1

=====

Most stable = B)

=====

A) # GGA+U Li3Fe8B8O24, optimized geometry
# Spin magnetization ... 37.0 Bohr magnetons per cell
data_Li3Fe8B8O24
_chemical_formula_sum 'Li3 Fe8 B8 O24'
_cell_length_a 5.226
_cell_length_b 9.074
_cell_length_c 11.389
_cell_angle_alpha 112.76
_cell_angle_beta 103.21
_cell_angle_gamma 90.63
_symmetry_space_group_name_H-M 'P 1'
_symmetry_Int_Tables_number 1
loop_
_symmetry_equiv_pos_as_xyz
'x,y,z'
loop_
_atom_site_label
_atom_site_type_symbol
_atom_site_fract_x
_atom_site_fract_y
_atom_site_fract_z
_atom_site_occupancy
Li1 Li 0.000 0.000 0.000 1
Li2 Li 0.217 0.244 0.503 1
Li3 Li 0.776 0.478 0.261 1
Fe1 Fe 0.034 0.396 0.785 1
Fe2 Fe 0.249 0.602 0.534 1
Fe3 Fe 0.275 0.302 0.277 1
Fe4 Fe 0.513 0.200 0.029 1
Fe5 Fe 0.526 0.901 0.782 1
Fe6 Fe 0.726 0.092 0.536 1
Fe7 Fe 0.775 0.826 0.287 1
Fe8 Fe 0.998 0.677 0.036 1
B1 B 0.039 0.069 0.791 1
B2 B 0.226 0.938 0.534 1
B3 B 0.280 0.645 0.285 1
B4 B 0.499 0.855 0.034 1
B5 B 0.537 0.563 0.785 1
B6 B 0.749 0.436 0.537 1
B7 B 0.779 0.152 0.290 1
B8 B 0.998 0.357 0.038 1
O1 O 0.047 0.164 0.313 1
O2 O 0.099 0.730 0.232 1
O3 O 0.112 0.459 0.989 1
O4 O 0.140 0.239 0.063 1
O5 O 0.179 0.543 0.334 1
O6 O 0.234 0.838 0.028 1
O7 O 0.313 0.076 0.822 1
O8 O 0.358 0.831 0.584 1
O9 O 0.359 0.071 0.542 1
O10 O 0.384 0.444 0.785 1
O11 O 0.426 0.673 0.734 1
O12 O 0.471 0.421 0.507 1
O13 O 0.541 0.657 0.286 1
O14 O 0.605 0.957 0.987 1
O15 O 0.633 0.255 0.243 1
O16 O 0.653 0.037 0.319 1
O17 O 0.676 0.768 0.086 1
O18 O 0.759 0.385 0.064 1
O19 O 0.814 0.581 0.835 1
O20 O 0.883 0.329 0.584 1
O21 O 0.889 0.550 0.520 1
O22 O 0.891 0.957 0.809 1
O23 O 0.919 0.175 0.743 1
O24 O 0.954 0.903 0.478 1

=====

B) # GGA+U Li3Fe8B8O24, optimized geometry
# Spin magnetization ... 37.0 Bohr magnetons per cell
data_Li3Fe8B8O24
_chemical_formula_sum 'Li3 Fe8 B8 O24'
_cell_length_a 5.256
_cell_length_b 5.271
_cell_length_c 20.079
_cell_angle_alpha 90.31
_cell_angle_beta 90.41
_cell_angle_gamma 119.25
_symmetry_space_group_name_H-M 'P 1'
_symmetry_Int_Tables_number 1
loop_
_symmetry_equiv_pos_as_xyz
'x,y,z'
loop_
_atom_site_label
_atom_site_type_symbol
_atom_site_fract_x
_atom_site_fract_y
_atom_site_fract_z
_atom_site_occupancy
Li1 Li 0.000 0.000 0.000 1
Li2 Li 0.024 0.975 0.748 1
Li3 Li 0.702 0.677 0.370 1
Fe1 Fe 0.034 0.348 0.858 1
Fe2 Fe 0.039 0.327 0.358 1
Fe3 Fe 0.353 0.666 0.235 1
Fe4 Fe 0.357 0.006 0.609 1
Fe5 Fe 0.367 0.647 0.732 1
Fe6 Fe 0.377 0.010 0.108 1
Fe7 Fe 0.674 0.341 0.982 1
Fe8 Fe 0.683 0.328 0.484 1
B1 B 0.019 0.336 0.607 1
B2 B 0.032 0.345 0.107 1
B3 B 0.354 0.670 0.983 1
B4 B 0.356 0.670 0.482 1
B5 B 0.359 0.998 0.359 1
B6 B 0.368 0.004 0.856 1
B7 B 0.696 0.335 0.234 1
B8 B 0.697 0.328 0.733 1
O1 O 0.054 0.097 0.609 1
O2 O 0.084 0.447 0.463 1
O3 O 0.085 0.119 0.097 1
O4 O 0.096 0.984 0.359 1
O5 O 0.104 0.416 0.960 1
O6 O 0.136 0.052 0.848 1
O7 O 0.241 0.605 0.629 1
O8 O 0.246 0.609 0.134 1
O9 O 0.323 0.907 0.006 1
O10 O 0.336 0.735 0.838 1
O11 O 0.379 0.931 0.506 1
O12 O 0.389 0.759 0.337 1
O13 O 0.444 0.075 0.711 1
O14 O 0.478 0.067 0.208 1
O15 O 0.596 0.637 0.474 1
O16 O 0.614 0.246 0.381 1
O17 O 0.619 0.685 0.984 1
O18 O 0.633 0.221 0.880 1
O19 O 0.646 0.562 0.241 1
O20 O 0.709 0.591 0.734 1
O21 O 0.754 0.317 0.586 1
O22 O 0.766 0.317 0.087 1
O23 O 0.936 0.299 0.755 1
O24 O 0.960 0.356 0.253 1

=====

Most stable = B)

=====

A) # GGA+U Mn3O2F4, optimized geometry
# Spin magnetization ... 26.0 Bohr magnetons per cell
data_Mn3O2F4
_chemical_formula_sum 'Mn6 O4 F8'
_cell_length_a 5.690
_cell_length_b 5.797
_cell_length_c 7.427
_cell_angle_alpha 73.49
_cell_angle_beta 73.44
_cell_angle_gamma 72.56
_symmetry_space_group_name_H-M 'P -1'
_symmetry_Int_Tables_number 2
loop_
_symmetry_equiv_pos_as_xyz
'x,y,z'
'-x,-y,-z'
loop_
_atom_site_label
_atom_site_type_symbol
_atom_site_fract_x
_atom_site_fract_y
_atom_site_fract_z
_atom_site_occupancy
Mn1 Mn 0.000 0.000 0.000 1
Mn2 Mn 0.000 0.000 0.500 1
Mn3 Mn 0.302 0.320 0.163 1
Mn4 Mn 0.307 0.368 0.681 1
O1 O 0.020 0.671 0.662 1
O2 O 0.204 0.232 0.970 1
F1 F 0.088 0.104 0.707 1
F2 F 0.331 0.704 0.989 1
F3 F 0.379 0.938 0.342 1
F4 F 0.416 0.424 0.365 1

=====

B) # GGA+U Mn3O2F4, optimized geometry
# Spin magnetization ... 26.0 Bohr magnetons per cell
data_Mn3O2F4
_chemical_formula_sum 'Mn6 O4 F8'
_cell_length_a 4.791
_cell_length_b 5.774
_cell_length_c 7.992
_cell_angle_alpha 87.21
_cell_angle_beta 87.79
_cell_angle_gamma 89.60
_symmetry_space_group_name_H-M 'P -1'
_symmetry_Int_Tables_number 2
loop_
_symmetry_equiv_pos_as_xyz
'x,y,z'
'-x,-y,-z'
loop_
_atom_site_label
_atom_site_type_symbol
_atom_site_fract_x
_atom_site_fract_y
_atom_site_fract_z
_atom_site_occupancy
Mn1 Mn 0.000 0.000 0.000 1
Mn2 Mn 0.031 0.668 0.318 1
Mn3 Mn 0.454 0.169 0.325 1
Mn4 Mn 0.500 0.500 0.000 1
O1 O 0.176 0.949 0.215 1
O2 O 0.302 0.473 0.213 1
F1 F 0.186 0.617 0.577 1
F2 F 0.224 0.298 0.906 1
F3 F 0.287 0.798 0.899 1
F4 F 0.290 0.135 0.575 1

=====

Most stable = A)

=====

A) # GGA+U Li2Fe3WO8, optimized geometry
# Spin magnetization ... 48.0 Bohr magnetons per cell
data_Li2Fe3WO8
_chemical_formula_sum 'Li6 Fe9 W3 O24'
_cell_length_a 6.0615
_cell_length_b 6.0615
_cell_length_c 15.0954
_cell_angle_alpha 90.00
_cell_angle_beta 90.00
_cell_angle_gamma 120.00
_symmetry_space_group_name_H-M 'R -3 m'
_symmetry_Int_Tables_number 166
_symmetry_space_group_name_Hall '-R 3 2"'
loop_
_atom_site_label
_atom_site_type_symbol
_atom_site_fract_x
_atom_site_fract_y
_atom_site_fract_z
_atom_site_occupancy
Li1 Li 0.0000 0.0000 0.1325 1
Fe1 Fe 0.0000 0.5000 0.0000 1
W1 W 0.0000 0.0000 0.5000 1
O1 O 0.0000 0.0000 0.2676 1
O2 O 0.0333 0.5166 0.2461 1

=====

B) # GGA+U Li2Fe3WO8, optimized geometry
# Spin magnetization ... 56.0 Bohr magnetons per cell
data_Li2Fe3WO8
_chemical_formula_sum 'Li8 Fe12 W4 O32'
_cell_length_a 8.560
_cell_length_b 8.596
_cell_length_c 8.614
_cell_angle_alpha 89.87
_cell_angle_beta 89.72
_cell_angle_gamma 89.67
_symmetry_space_group_name_H-M 'P 1'
_symmetry_Int_Tables_number 1
loop_
_symmetry_equiv_pos_as_xyz
'x,y,z'
loop_
_atom_site_label
_atom_site_type_symbol
_atom_site_fract_x
_atom_site_fract_y
_atom_site_fract_z
_atom_site_occupancy
Li1 Li 0.000 0.000 0.000 1
Li2 Li 0.005 0.498 0.495 1
Li3 Li 0.247 0.247 0.246 1
Li4 Li 0.257 0.744 0.750 1
Li5 Li 0.497 0.498 0.995 1
Li6 Li 0.505 0.993 0.500 1
Li7 Li 0.747 0.240 0.750 1
Li8 Li 0.752 0.748 0.251 1
Fe1 Fe 0.120 0.864 0.374 1
Fe2 Fe 0.131 0.615 0.139 1
Fe3 Fe 0.137 0.370 0.879 1
Fe4 Fe 0.374 0.620 0.374 1
Fe5 Fe 0.375 0.383 0.630 1
Fe6 Fe 0.382 0.123 0.872 1
Fe7 Fe 0.615 0.630 0.623 1
Fe8 Fe 0.625 0.875 0.873 1
Fe9 Fe 0.633 0.119 0.113 1
Fe10 Fe 0.865 0.876 0.618 1
Fe11 Fe 0.877 0.117 0.369 1
Fe12 Fe 0.884 0.363 0.125 1
W1 W 0.132 0.117 0.624 1
W2 W 0.377 0.872 0.124 1
W3 W 0.622 0.372 0.370 1
W4 W 0.877 0.624 0.875 1
O1 O 0.103 0.613 0.876 1
O2 O 0.113 0.126 0.398 1
O3 O 0.114 0.383 0.108 1
O4 O 0.115 0.895 0.632 1
O5 O 0.127 0.135 0.852 1
O6 O 0.134 0.352 0.636 1
O7 O 0.136 0.625 0.359 1
O8 O 0.150 0.857 0.115 1
O9 O 0.354 0.130 0.615 1
O10 O 0.366 0.363 0.858 1
O11 O 0.367 0.639 0.127 1
O12 O 0.374 0.864 0.350 1
O13 O 0.381 0.096 0.126 1
O14 O 0.387 0.609 0.614 1
O15 O 0.392 0.877 0.891 1
O16 O 0.397 0.372 0.381 1
O17 O 0.606 0.864 0.105 1
O18 O 0.615 0.095 0.875 1
O19 O 0.618 0.384 0.604 1
O20 O 0.625 0.601 0.388 1
O21 O 0.637 0.860 0.643 1
O22 O 0.638 0.147 0.377 1
O23 O 0.638 0.378 0.146 1
O24 O 0.646 0.633 0.865 1
O25 O 0.856 0.365 0.365 1
O26 O 0.864 0.852 0.867 1
O27 O 0.869 0.631 0.645 1
O28 O 0.872 0.136 0.140 1
O29 O 0.880 0.395 0.883 1
O30 O 0.882 0.887 0.390 1
O31 O 0.884 0.616 0.102 1
O32 O 0.896 0.114 0.615 1

=====

Most stable = B)